The following is a PBE with a Hubbard U calculation of a relaxed structure of Sr4LaMn5O13, from the Materials Project database.

magnetization	0.87	μB per atom
formation enthalpy at 0 K	-2.66	eV/atom
distance to the lowest polymorph of the same formula	0.000	eV per atom

Cell lengths 3.894, 8.796, 8.843 Å; angles 89.39, 90.00, 90.00 degrees
Atoms (fractional coordinates):
Sr 0.500 0.888 0.285
Sr 0.500 0.117 0.717
Sr 0.500 0.280 0.118
Sr 0.500 0.496 0.497
La 0.500 0.722 0.883
Mn 0.000 0.003 0.001
Mn 0.000 0.803 0.592
Mn 0.000 0.196 0.406
Mn 0.000 0.596 0.194
Mn 0.000 0.403 0.807
O 0.000 0.776 0.060
O 0.000 0.218 0.928
O 0.000 0.071 0.225
O 0.000 0.920 0.778
O 0.500 0.585 0.153
O 0.500 0.428 0.840
O 0.500 0.828 0.585
O 0.500 0.167 0.423
O 0.000 0.608 0.726
O 0.000 0.399 0.287
O 0.000 0.708 0.397
O 0.000 0.294 0.602
O 0.500 0.992 0.997